An optimized crystal structure of Er3In. Source: Materials Project, functional r2SCAN.

Geometry as CIF:
```
data_Er3In
_chemical_formula_sum 'Er6 In2'
_symmetry_space_group_name_H-M 'P 63/m m c'
_symmetry_Int_Tables_number 194
_symmetry_space_group_name_Hall '-P 6c 2c'
_cell_length_a 6.7521
_cell_length_b 6.7521
_cell_length_c 5.5731
_cell_angle_alpha 90.00
_cell_angle_beta 90.00
_cell_angle_gamma 120.00
loop_
_atom_site_label
_atom_site_type_symbol
_atom_site_fract_x
_atom_site_fract_y
_atom_site_fract_z
_atom_site_occupancy
Er1 Er 0.1706 0.3411 0.2500 1
In1 In 0.3333 0.6667 0.7500 1
```

## Properties
energy relative to the elements = -332.2 meV/atom